## a
Li5Mn2P2C2O14: optimized geometry, PBE+U.

CIF file:
```
data_Li5Mn2P2C2O14
_symmetry_space_group_name_H-M 'P 1 21/m 1'
_symmetry_Int_Tables_number 11
_cell_length_a 5.093
_cell_length_b 6.501
_cell_length_c 16.943
_cell_angle_alpha 90.00
_cell_angle_beta 94.52
_cell_angle_gamma 90.00
loop_
_symmetry_equiv_pos_as_xyz
'x,y,z'
'-x,-y,-z'
'-x,y+1/2,-z'
'x,-y+1/2,z'
loop_
_atom_site_label
_atom_site_fract_x
_atom_site_fract_y
_atom_site_fract_z
Li1 0.240 0.250 0.299
Li2 0.250 0.501 0.625
Li3 0.252 0.528 0.118
Mn1 0.206 0.750 0.922
Mn2 0.224 0.750 0.420
P1 0.273 0.250 0.958
P2 0.279 0.250 0.459
C1 0.288 0.750 0.768
C2 0.301 0.750 0.273
O1 0.044 0.750 0.782
O2 0.071 0.750 0.303
O3 0.159 0.060 0.913
O4 0.175 0.250 0.542
O5 0.179 0.065 0.407
O6 0.190 0.250 0.045
O7 0.322 0.750 0.200
O8 0.363 0.750 0.696
O9 0.413 0.750 0.531
O10 0.419 0.750 0.037
O11 0.468 0.750 0.828
O12 0.496 0.250 0.674
```



## b
Li5Mn2P2C2O14: optimized geometry, PBE+U.

CIF file:
```
data_Li5Mn2P2C2O14
_symmetry_space_group_name_H-M 'P 1'
_symmetry_Int_Tables_number 1
_cell_length_a 5.070
_cell_length_b 6.469
_cell_length_c 8.560
_cell_angle_alpha 91.13
_cell_angle_beta 95.08
_cell_angle_gamma 90.06
loop_
_symmetry_equiv_pos_as_xyz
'x,y,z'
loop_
_atom_site_label
_atom_site_fract_x
_atom_site_fract_y
_atom_site_fract_z
Li1 0.000 0.000 0.000
Li2 0.004 0.458 0.007
Li3 0.072 0.729 0.626
Li4 0.499 0.241 0.836
Li5 0.548 0.959 0.468
Mn1 0.075 0.243 0.404
Mn2 0.479 0.736 0.073
P1 0.000 0.746 0.320
P2 0.539 0.233 0.148
C1 0.597 0.750 0.778
C2 0.973 0.228 0.698
O1 0.067 0.554 0.421
O2 0.110 0.732 0.156
O3 0.133 0.925 0.425
O4 0.220 0.242 0.675
O5 0.347 0.736 0.796
O6 0.431 0.049 0.037
O7 0.434 0.227 0.310
O8 0.435 0.421 0.047
O9 0.692 0.780 0.648
O10 0.700 0.785 0.292
O11 0.762 0.733 0.908
O12 0.803 0.214 0.574
O13 0.848 0.233 0.165
O14 0.890 0.230 0.838
```



Most stable structure: b



## a
MgMn2O4: optimized geometry, PBE+U.

CIF file:
```
data_MgMn2O4
_symmetry_space_group_name_H-M 'P -1'
_symmetry_Int_Tables_number 2
_cell_length_a 5.432
_cell_length_b 5.957
_cell_length_c 6.004
_cell_angle_alpha 60.27
_cell_angle_beta 74.03
_cell_angle_gamma 89.92
loop_
_symmetry_equiv_pos_as_xyz
'x,y,z'
'-x,-y,-z'
loop_
_atom_site_label
_atom_site_fract_x
_atom_site_fract_y
_atom_site_fract_z
Mg1 0.000 0.250 0.000
Mn1 0.000 0.249 0.500
Mn2 0.500 0.000 0.500
Mn3 0.500 0.500 0.500
O1 0.199 0.105 0.289
O2 0.200 0.604 0.291
O3 0.213 0.132 0.736
O4 0.213 0.632 0.736
```



## b
MgMn2O4: optimized geometry, PBE+U.

CIF file:
```
data_MgMn2O4
_symmetry_space_group_name_H-M 'C 1 m 1'
_symmetry_Int_Tables_number 8
_cell_length_a 10.455
_cell_length_b 6.063
_cell_length_c 14.820
_cell_angle_alpha 90.00
_cell_angle_beta 90.02
_cell_angle_gamma 90.00
loop_
_symmetry_equiv_pos_as_xyz
'x,y,z'
'x,-y,z'
'x+1/2,y+1/2,z'
'x+1/2,-y+1/2,z'
loop_
_atom_site_label
_atom_site_fract_x
_atom_site_fract_y
_atom_site_fract_z
Mg1 0.000 0.000 0.000
Mg2 0.001 0.500 0.499
Mg3 0.010 0.500 0.875
Mg4 0.167 0.500 0.333
Mg5 0.332 0.500 0.167
Mg6 0.334 0.000 0.667
Mn1 0.081 0.252 0.666
Mn2 0.159 0.000 0.455
Mn3 0.167 0.000 0.834
Mn4 0.174 0.000 0.212
Mn5 0.252 0.250 0.000
Mn6 0.327 0.500 0.791
Mn7 0.341 0.500 0.542
Mn8 0.417 0.250 0.333
Mn9 0.493 0.000 0.123
O1 0.007 0.500 0.739
O2 0.013 0.000 0.747
O3 0.067 0.269 0.409
O4 0.100 0.226 0.918
O5 0.158 0.000 0.597
O6 0.158 0.500 0.592
O7 0.174 0.000 0.071
O8 0.176 0.500 0.074
O9 0.232 0.223 0.748
O10 0.266 0.269 0.257
O11 0.324 0.000 0.919
O12 0.326 0.500 0.929
O13 0.342 0.500 0.404
O14 0.346 0.000 0.407
O15 0.402 0.268 0.074
O16 0.431 0.232 0.592
O17 0.487 0.500 0.259
O18 0.492 0.000 0.262
```



Most stable structure: b



## a
MgMn2O4: optimized geometry, PBE+U.

CIF file:
```
data_MgMn2O4
_symmetry_space_group_name_H-M 'P 1 21/c 1'
_symmetry_Int_Tables_number 14
_cell_length_a 5.720
_cell_length_b 10.863
_cell_length_c 5.759
_cell_angle_alpha 90.00
_cell_angle_beta 118.84
_cell_angle_gamma 90.00
loop_
_symmetry_equiv_pos_as_xyz
'x,y,z'
'-x,-y,-z'
'-x,y+1/2,-z+1/2'
'x,-y+1/2,z+1/2'
loop_
_atom_site_label
_atom_site_fract_x
_atom_site_fract_y
_atom_site_fract_z
Mg1 0.161 0.114 0.043
Mn1 0.122 0.621 0.006
Mn2 0.430 0.143 0.595
O1 0.071 0.209 0.339
O2 0.228 0.555 0.744
O3 0.229 0.053 0.734
O4 0.475 0.691 0.182
```



## b
MgMn2O4: optimized geometry, PBE+U.

CIF file:
```
data_MgMn2O4
_symmetry_space_group_name_H-M 'P -1'
_symmetry_Int_Tables_number 2
_cell_length_a 5.817
_cell_length_b 6.085
_cell_length_c 6.114
_cell_angle_alpha 118.36
_cell_angle_beta 117.74
_cell_angle_gamma 91.13
loop_
_symmetry_equiv_pos_as_xyz
'x,y,z'
'-x,-y,-z'
loop_
_atom_site_label
_atom_site_fract_x
_atom_site_fract_y
_atom_site_fract_z
Mg1 0.000 0.000 0.000
Mg2 0.000 0.500 0.500
Mn1 0.000 0.000 0.500
Mn2 0.500 0.000 0.000
Mn3 0.500 0.000 0.500
Mn4 0.500 0.500 0.000
O1 0.230 0.192 0.930
O2 0.240 0.217 0.489
O3 0.246 0.789 0.504
O4 0.247 0.758 0.965
```



Most stable structure: a